1.
Here is an optimized crystal structure of NaLaGa4Se8 from the Materials Project database. Energies are from r²SCAN.

```
NaLaGa4Se8
1.0
0.0000 10.6558 10.7099
6.3836 0.0000 10.7099
6.3836 10.6558 0.0000
Na La Ga Se
4 4 16 32
Cartesian
4.7877 7.9919 2.6116
7.9794 13.3198 7.9665
4.7877 7.9919 13.4533
7.9794 13.3198 18.8082
1.5959 2.6640 2.6775
4.7877 7.9919 8.0324
7.9794 13.3198 13.3874
11.1712 18.6477 18.7423
8.5063 9.4793 5.3640
4.7986 5.1112 5.3107
8.5063 6.5044 10.7009
11.6981 11.8323 10.7189
7.9685 10.4391 10.6657
4.7767 5.1112 10.7542
4.7767 10.8725 5.3107
1.0690 6.5044 5.3640
11.6981 14.8072 16.0558
7.9904 10.4391 16.1091
7.9904 16.2004 10.6657
4.7986 10.8725 10.7542
1.0690 9.4793 10.7009
4.2608 14.8072 10.7189
7.9685 16.2004 16.1091
4.2608 11.8323 16.0558
9.5975 10.6248 7.1939
3.1696 5.2969 1.8390
6.4057 10.6868 1.8390
6.3271 5.3575 7.1856
9.5844 8.6839 10.6741
3.1827 3.3560 5.3192
6.3926 3.3560 10.7457
6.1916 8.8908 5.3215
3.3838 7.0929 5.3215
6.3926 12.6277 5.3192
9.3833 12.4208 10.6765
6.1916 7.0929 10.7433
6.4057 5.2969 14.2259
3.2482 5.3575 8.8793
6.3271 10.6263 8.8793
9.5189 10.6854 14.2342
3.2482 10.6263 7.1856
6.4400 10.6854 12.5406
9.5189 15.9542 12.5406
6.3614 16.0147 7.1939
6.5755 14.2187 10.6765
3.3838 8.8908 10.7433
6.3745 8.6839 16.1006
9.3833 14.2187 16.0983
6.5755 12.4208 16.0983
6.3745 17.9556 10.6741
9.5844 17.9556 16.1006
3.1827 12.6277 10.7457
6.4400 15.9542 14.2342
6.3614 10.6248 19.5808
9.5975 16.0147 19.5808
3.1696 10.6868 14.2259
```

## Properties
The formation energy from the elements is -1.114 eV per atom. Its space group is Fddd, No. 70. The mass density is 4.89 g cm⁻³. The value obtained for the magnetic moment is 0.00 μB/f.u.

=====

2.
Here is an optimized crystal structure of P4S3I2 from the Materials Project database. Energies are from r²SCAN.

```
P4S3I2
1.0
7.4740 0.0000 0.0000
0.0442 7.5124 0.0000
0.1758 1.7300 20.2556
P S I
16 12 8
Cartesian
0.1117 1.4448 7.7413
0.5640 4.8169 8.0770
0.7067 1.6863 17.8910
0.9870 3.3382 19.3334
1.4818 5.0021 13.2912
1.7463 7.5689 11.0501
3.4982 3.0154 17.0433
3.5662 0.5443 2.1156
4.1278 8.6981 18.1400
4.1958 6.2270 3.2123
5.9477 1.6736 9.2055
6.2122 4.2404 6.9644
6.7069 5.9043 0.9222
6.9873 7.5562 2.3646
7.1300 4.4256 12.1786
7.5823 7.7977 12.5143
0.8852 6.7980 14.1801
1.3150 2.9384 8.6741
1.6738 2.4438 16.1975
2.2525 7.9776 18.7863
2.4994 5.6541 11.5354
2.9045 4.0562 18.8054
4.7894 5.1862 1.4502
5.1946 3.5883 8.7202
5.4415 1.2649 1.4693
6.0201 6.7986 4.0581
6.3789 6.3041 11.5815
6.8088 2.4445 6.0755
0.7929 4.2952 2.0084
1.9871 5.3819 6.1015
3.0387 1.9691 4.0935
3.3056 1.6276 12.1371
4.3884 7.6149 8.1185
4.6553 7.2734 16.1621
5.7069 3.8606 14.1542
6.9011 4.9473 18.2472
```

## Properties
The formation energy from the elements is -0.159 eV per atom. Its space group is P-1, No. 2. The mass density is 2.77 g cm⁻³. The value obtained for the magnetic moment is 0.00 μB/f.u.

=====

3.
Here is an optimized crystal structure of LiTiIr2 from the Materials Project database. Energies are from r²SCAN.

```
LiTiIr2
1.0
6.0010 0.0000 0.0000
0.0000 6.0010 0.0000
0.0000 0.0000 6.0010
Li Ti Ir
4 4 8
Cartesian
0.0000 0.0000 0.0000
0.0000 3.0005 3.0005
3.0005 0.0000 3.0005
3.0005 3.0005 0.0000
0.0000 0.0000 3.0005
0.0000 3.0005 0.0000
3.0005 0.0000 0.0000
3.0005 3.0005 3.0005
1.5002 1.5002 1.5002
1.5002 1.5002 4.5007
1.5002 4.5007 1.5002
1.5002 4.5007 4.5007
4.5007 1.5002 1.5002
4.5007 1.5002 4.5007
4.5007 4.5007 1.5002
4.5007 4.5007 4.5007
```

## Properties
The formation energy from the elements is -0.740 eV per atom. Its space group is Fm-3m, No. 225. The mass density is 13.50 g cm⁻³. The value obtained for the magnetic moment is 0.00 μB/f.u.

=====

4.
Here is an optimized crystal structure of MnAl2O4 from the Materials Project database. Energies are from r²SCAN.

```
MnAl2O4
1.0
0.0000 4.0933 4.0933
4.0933 0.0000 4.0933
4.0933 4.0933 0.0000
Mn Al O
2 4 8
Cartesian
1.0233 1.0233 1.0233
7.1633 7.1633 7.1633
4.0933 2.0467 2.0467
2.0467 4.0933 2.0467
2.0467 2.0467 4.0933
4.0933 4.0933 4.0933
2.1808 2.1808 2.1808
3.9592 3.9592 2.1808
3.9592 2.1808 3.9592
6.0059 4.2274 4.2274
2.1808 3.9592 3.9592
4.2274 6.0059 4.2274
4.2274 4.2274 6.0059
6.0059 6.0059 6.0059
```

## Properties
The formation energy from the elements is -2.987 eV per atom. Its space group is Fd-3m, No. 227. The mass density is 4.19 g cm⁻³. The value obtained for the magnetic moment is 5.00 μB/f.u.

=====

5.
Here is an optimized crystal structure of KRuO4 from the Materials Project database. Energies are from r²SCAN.

```
KRuO4
1.0
-2.8143 2.8143 6.3156
2.8143 -2.8143 6.3156
2.8143 2.8143 -6.3156
K Ru O
2 2 8
Cartesian
0.0000 0.0000 0.0000
0.0000 2.8143 3.1578
2.8143 0.0000 3.1577
0.0000 0.0000 6.3155
4.0913 -0.6826 2.2103
2.1193 -1.2654 4.1126
2.1317 1.5373 -0.9475
1.5373 0.6826 2.2103
1.2654 -0.6950 7.2704
3.5093 1.2654 4.1126
0.6826 1.2770 5.3681
1.5489 3.5093 0.9548
```

## Properties
The formation energy from the elements is -1.233 eV per atom. Its space group is I4_1, No. 80. The mass density is 3.39 g cm⁻³. The value obtained for the magnetic moment is 1.00 μB/f.u.

=====

6.
Here is an optimized crystal structure of LiMgPb2 from the Materials Project database. Energies are from r²SCAN.

```
LiMgPb2
1.0
7.2988 0.0000 0.0000
0.0000 7.2988 0.0000
0.0000 0.0000 7.2988
Li Mg Pb
4 4 8
Cartesian
0.0000 0.0000 0.0000
0.0000 3.6494 3.6494
3.6494 0.0000 3.6494
3.6494 3.6494 0.0000
0.0000 0.0000 3.6494
0.0000 3.6494 0.0000
3.6494 0.0000 0.0000
3.6494 3.6494 3.6494
1.8247 1.8247 1.8247
1.8247 1.8247 5.4741
1.8247 5.4741 1.8247
1.8247 5.4741 5.4741
5.4741 1.8247 1.8247
5.4741 1.8247 5.4741
5.4741 5.4741 1.8247
5.4741 5.4741 5.4741
```

## Properties
The formation energy from the elements is -0.214 eV per atom. Its space group is Fm-3m, No. 225. The mass density is 7.61 g cm⁻³. The value obtained for the magnetic moment is 0.00 μB/f.u.

=====

For reference, final energy by record: -14.940, -12.295, -30.751, -10.421, -10.456, -29.995 eV/atom.